No. 1
This record from the Materials Project describes a geometry-optimized NaSr8NdTi10O30 structure. The functional is GGA-PBE.

Cell lengths 5.5539, 5.5539, 39.3691 Å; angles 90.00, 90.00, 90.00 degrees
Space group P-42_1m (No. 113)
Inequivalent atoms, fractional coordinates:
Na: 0.0000 0.5000 0.0496 [2 per cell]
Sr: 0.0000 0.5000 0.1493 [2 per cell]
Sr: 0.0000 0.5000 0.2499 [2 per cell]
Sr: 0.0000 0.5000 0.3500 [2 per cell]
Sr: 0.0000 0.5000 0.4500 [2 per cell]
Sr: 0.0000 0.5000 0.5500 [2 per cell]
Sr: 0.0000 0.5000 0.6500 [2 per cell]
Sr: 0.0000 0.5000 0.7500 [2 per cell]
Sr: 0.0000 0.5000 0.8505 [2 per cell]
Nd: 0.0000 0.5000 0.9501 [2 per cell]
Ti: 0.0000 0.0000 0.0000 [2 per cell]
Ti: 0.0000 0.0000 0.0984 [4 per cell]
Ti: 0.0000 0.0000 0.1996 [4 per cell]
Ti: 0.0000 0.0000 0.2999 [4 per cell]
Ti: 0.0000 0.0000 0.4000 [4 per cell]
Ti: 0.0000 0.0000 0.5000 [2 per cell]
O: 0.0000 0.0000 0.0496 [4 per cell]
O: 0.0000 0.0000 0.1493 [4 per cell]
O: 0.0000 0.0000 0.2498 [4 per cell]
O: 0.0000 0.0000 0.3500 [4 per cell]
O: 0.0000 0.0000 0.4500 [4 per cell]
O: 0.2194 0.2806 0.9985 [4 per cell]
O: 0.2200 0.7200 0.9025 [4 per cell]
O: 0.2342 0.2658 0.1996 [4 per cell]
O: 0.2346 0.2654 0.4000 [4 per cell]
O: 0.2346 0.2654 0.6000 [4 per cell]
O: 0.2348 0.2652 0.8001 [4 per cell]
O: 0.2346 0.7346 0.3000 [4 per cell]
O: 0.2346 0.7346 0.5000 [4 per cell]
O: 0.2346 0.7346 0.7000 [4 per cell]
O: 0.2356 0.7356 0.0990 [4 per cell]

Properties
As for the magnetic moment: 0.00 μB per formula unit. As for the energy relative to the elements: -81.1 kcal/mol of atoms.


No. 2
This record from the Materials Project describes a geometry-optimized NaSr2NdTi4O12 structure. The functional is GGA-PBE.

Cell lengths 5.5186, 5.5186, 7.8754 Å; angles 90.00, 90.00, 90.00 degrees
Space group P-42m (No. 111)
Inequivalent atoms, fractional coordinates:
Na: 0.0000 0.0000 0.0000 [1 per cell]
Sr: 0.0000 0.0000 0.5000 [1 per cell]
Sr: 0.5000 0.5000 0.5000 [1 per cell]
Nd: 0.5000 0.5000 0.0000 [1 per cell]
Ti: 0.0000 0.5000 0.2462 [4 per cell]
O: 0.0000 0.5000 0.0000 [2 per cell]
O: 0.0000 0.5000 0.5000 [2 per cell]
O: 0.2212 0.2212 0.7511 [4 per cell]
O: 0.2905 0.2905 0.2393 [4 per cell]

Properties
As for the magnetic moment: 0.00 μB per formula unit. As for the energy relative to the elements: -80.0 kcal/mol of atoms.


No. 3
This record from the Materials Project describes a geometry-optimized Na3Sr14Nd3Ti20O60 structure. The functional is GGA-PBE.

Cell lengths 7.8239, 7.8273, 39.4849 Å; angles 90.00, 90.00, 90.00 degrees
Space group Cmm2 (No. 35)
Inequivalent atoms, fractional coordinates:
Na: 0.0000 0.0000 0.0000 [2 per cell]
Na: 0.0000 0.0000 0.1953 [2 per cell]
Na: 0.0000 0.5000 0.0973 [2 per cell]
Sr: 0.0000 0.0000 0.2955 [2 per cell]
Sr: 0.0000 0.0000 0.3961 [2 per cell]
Sr: 0.0000 0.0000 0.4965 [2 per cell]
Sr: 0.0000 0.0000 0.5967 [2 per cell]
Sr: 0.0000 0.0000 0.6968 [2 per cell]
Sr: 0.0000 0.0000 0.7964 [2 per cell]
Sr: 0.0000 0.0000 0.8986 [2 per cell]
Sr: 0.0000 0.5000 0.2958 [2 per cell]
Sr: 0.0000 0.5000 0.3961 [2 per cell]
Sr: 0.0000 0.5000 0.4965 [2 per cell]
Sr: 0.0000 0.5000 0.5967 [2 per cell]
Sr: 0.0000 0.5000 0.6969 [2 per cell]
Sr: 0.0000 0.5000 0.7969 [2 per cell]
Sr: 0.0000 0.5000 0.9988 [2 per cell]
Nd: 0.0000 0.0000 0.0956 [2 per cell]
Nd: 0.0000 0.5000 0.1963 [2 per cell]
Nd: 0.0000 0.5000 0.8991 [2 per cell]
Ti: 0.2500 0.2500 0.0477 [4 per cell]
Ti: 0.2500 0.2500 0.1460 [4 per cell]
Ti: 0.2500 0.2500 0.2445 [4 per cell]
Ti: 0.2500 0.2500 0.3453 [4 per cell]
Ti: 0.2500 0.2500 0.4458 [4 per cell]
Ti: 0.2500 0.2500 0.5461 [4 per cell]
Ti: 0.2500 0.2500 0.6463 [4 per cell]
Ti: 0.2500 0.2500 0.7466 [4 per cell]
Ti: 0.2500 0.2500 0.8475 [4 per cell]
Ti: 0.2500 0.2500 0.9495 [4 per cell]
O: 0.0000 0.2135 0.0494 [4 per cell]
O: 0.0000 0.2158 0.8477 [4 per cell]
O: 0.0000 0.2210 0.2465 [4 per cell]
O: 0.0000 0.2291 0.4471 [4 per cell]
O: 0.0000 0.2292 0.6475 [4 per cell]
O: 0.0000 0.2712 0.3467 [4 per cell]
O: 0.0000 0.2708 0.5473 [4 per cell]
O: 0.0000 0.2708 0.7477 [4 per cell]
O: 0.0000 0.2834 0.9451 [4 per cell]
O: 0.0000 0.3027 0.1490 [4 per cell]
O: 0.1969 0.0000 0.1450 [4 per cell]
O: 0.2080 0.5000 0.8496 [4 per cell]
O: 0.2088 0.5000 0.2445 [4 per cell]
O: 0.2218 0.5000 0.0485 [4 per cell]
O: 0.2287 0.0000 0.3464 [4 per cell]
O: 0.2292 0.0000 0.5473 [4 per cell]
O: 0.2291 0.0000 0.7478 [4 per cell]
O: 0.2291 0.5000 0.4471 [4 per cell]
O: 0.2293 0.5000 0.6475 [4 per cell]
O: 0.2308 0.0000 0.9460 [4 per cell]
O: 0.2500 0.2500 0.0977 [4 per cell]
O: 0.2500 0.2500 0.1964 [4 per cell]
O: 0.2500 0.2500 0.2963 [4 per cell]
O: 0.2500 0.2500 0.3969 [4 per cell]
O: 0.2500 0.2500 0.4973 [4 per cell]
O: 0.2500 0.2500 0.5975 [4 per cell]
O: 0.2500 0.2500 0.6978 [4 per cell]
O: 0.2500 0.2500 0.7982 [4 per cell]
O: 0.2500 0.2500 0.8972 [4 per cell]
O: 0.2500 0.2500 0.9973 [4 per cell]

Properties
As for the magnetic moment: 0.00 μB per formula unit. As for the energy relative to the elements: -80.8 kcal/mol of atoms.


No. 4
This record from the Materials Project describes a geometry-optimized Na7Sr6Nd7Ti20O60 structure. The functional is GGA-PBE.

Cell lengths 9.6226, 5.5380, 45.7981 Å; angles 90.00, 93.96, 90.00 degrees
Space group Cm (No. 8)
Inequivalent atoms, fractional coordinates:
Na: 0.0000 0.0000 0.0000 [2 per cell]
Na: 0.0093 0.5000 0.5118 [2 per cell]
Na: 0.1099 0.5000 0.8063 [2 per cell]
Na: 0.1951 0.5000 0.1005 [2 per cell]
Na: 0.2115 0.0000 0.6125 [2 per cell]
Na: 0.3075 0.0000 0.9038 [2 per cell]
Na: 0.4116 0.5000 0.7089 [2 per cell]
Sr: 0.0638 0.5000 0.6602 [2 per cell]
Sr: 0.1569 0.5000 0.9521 [2 per cell]
Sr: 0.2586 0.5000 0.2558 [2 per cell]
Sr: 0.2601 0.0000 0.7569 [2 per cell]
Sr: 0.4584 0.5000 0.8551 [2 per cell]
Sr: 0.4612 0.0000 0.3557 [2 per cell]
Nd: 0.0644 0.0000 0.1518 [2 per cell]
Nd: 0.1051 0.0000 0.3075 [2 per cell]
Nd: 0.1801 0.0000 0.4620 [2 per cell]
Nd: 0.3052 0.5000 0.4082 [2 per cell]
Nd: 0.3667 0.0000 0.0489 [2 per cell]
Nd: 0.3828 0.5000 0.5644 [2 per cell]
Nd: 0.3978 0.0000 0.2047 [2 per cell]
Ti: 0.0272 0.0000 0.0773 [2 per cell]
Ti: 0.0404 0.5000 0.5843 [2 per cell]
Ti: 0.0838 0.0000 0.2303 [2 per cell]
Ti: 0.0862 0.5000 0.7336 [2 per cell]
Ti: 0.1320 0.5000 0.8788 [2 per cell]
Ti: 0.1383 0.0000 0.3820 [2 per cell]
Ti: 0.1830 0.0000 0.5351 [2 per cell]
Ti: 0.1841 0.5000 0.0277 [2 per cell]
Ti: 0.2332 0.5000 0.1791 [2 per cell]
Ti: 0.2382 0.0000 0.6847 [2 per cell]
Ti: 0.2844 0.0000 0.8305 [2 per cell]
Ti: 0.2848 0.5000 0.3312 [2 per cell]
Ti: 0.3289 0.0000 0.9759 [2 per cell]
Ti: 0.3400 0.5000 0.4848 [2 per cell]
Ti: 0.3835 0.5000 0.6365 [2 per cell]
Ti: 0.3855 0.0000 0.1270 [2 per cell]
Ti: 0.4342 0.0000 0.2805 [2 per cell]
Ti: 0.4358 0.5000 0.7817 [2 per cell]
Ti: 0.4833 0.5000 0.9276 [2 per cell]
Ti: 0.4890 0.0000 0.4333 [2 per cell]
O: 0.0221 0.5000 0.0051 [2 per cell]
O: 0.0249 0.0000 0.4968 [2 per cell]
O: 0.0439 0.0000 0.6595 [2 per cell]
O: 0.0442 0.5000 0.1663 [2 per cell]
O: 0.0730 0.2483 0.9081 [4 per cell]
O: 0.0815 0.2471 0.5501 [4 per cell]
O: 0.0858 0.2570 0.0565 [4 per cell]
O: 0.0876 0.2537 0.4086 [4 per cell]
O: 0.1180 0.0000 0.8031 [2 per cell]
O: 0.1259 0.5000 0.3003 [2 per cell]
O: 0.1385 0.5000 0.4597 [2 per cell]
O: 0.1470 0.0000 0.9616 [2 per cell]
O: 0.1724 0.2525 0.7072 [4 per cell]
O: 0.1827 0.2418 0.3509 [4 per cell]
O: 0.1934 0.2451 0.2113 [4 per cell]
O: 0.1981 0.2512 0.8543 [4 per cell]
O: 0.2220 0.5000 0.5988 [2 per cell]
O: 0.2344 0.0000 0.2653 [2 per cell]
O: 0.2349 0.0000 0.1021 [2 per cell]
O: 0.2475 0.5000 0.7598 [2 per cell]
O: 0.2770 0.2399 0.5043 [4 per cell]
O: 0.2799 0.2476 0.0118 [4 per cell]
O: 0.2888 0.2379 0.1571 [4 per cell]
O: 0.2923 0.2473 0.6524 [4 per cell]
O: 0.3204 0.5000 0.9031 [2 per cell]
O: 0.3245 0.0000 0.3985 [2 per cell]
O: 0.3379 0.0000 0.5593 [2 per cell]
O: 0.3443 0.5000 0.0645 [2 per cell]
O: 0.3713 0.2483 0.8075 [4 per cell]
O: 0.3790 0.2533 0.4487 [4 per cell]
O: 0.3881 0.2571 0.3091 [4 per cell]
O: 0.3953 0.2511 0.9552 [4 per cell]
O: 0.4177 0.0000 0.7025 [2 per cell]
O: 0.4323 0.5000 0.3638 [2 per cell]
O: 0.4404 0.5000 0.1989 [2 per cell]
O: 0.4489 0.0000 0.8599 [2 per cell]
O: 0.4740 0.2582 0.6044 [4 per cell]
O: 0.4841 0.2448 0.2516 [4 per cell]
O: 0.4890 0.2541 0.1137 [4 per cell]
O: 0.4974 0.2520 0.7540 [4 per cell]

Properties
As for the magnetic moment: 0.48 μB per formula unit. As for the energy relative to the elements: -78.6 kcal/mol of atoms.


No. 5
This record from the Materials Project describes a geometry-optimized Na2SrNd2Ti5O15 structure. The functional is GGA-PBE.

Cell lengths 5.4948, 38.7119, 5.5652 Å; angles 90.00, 90.25, 90.00 degrees
Space group Pm (No. 6)
Inequivalent atoms, fractional coordinates:
Na: 0.0000 0.0000 0.0000 [1 per cell]
Na: 0.0004 0.1988 0.9978 [2 per cell]
Na: 0.5012 0.0994 0.5421 [2 per cell]
Na: 0.5051 0.2988 0.5442 [2 per cell]
Na: 0.5081 0.5000 0.5462 [1 per cell]
Sr: 0.0026 0.3992 0.0178 [2 per cell]
Sr: 0.4978 0.3993 0.5122 [2 per cell]
Nd: 0.0001 0.5000 0.0578 [1 per cell]
Nd: 0.4913 0.1989 0.4652 [2 per cell]
Nd: 0.4920 0.0000 0.4659 [1 per cell]
Nd: 0.9921 0.0994 0.0757 [2 per cell]
Nd: 0.9963 0.2984 0.0665 [2 per cell]
Ti: 0.0052 0.3478 0.5392 [2 per cell]
Ti: 0.0049 0.4504 0.5357 [2 per cell]
Ti: 0.4866 0.0491 0.0071 [2 per cell]
Ti: 0.4866 0.1496 0.0067 [2 per cell]
Ti: 0.4889 0.2478 0.0053 [2 per cell]
Ti: 0.4975 0.3479 0.0303 [2 per cell]
Ti: 0.4992 0.4502 0.0292 [2 per cell]
Ti: 0.9870 0.0503 0.5359 [2 per cell]
Ti: 0.9867 0.1484 0.5356 [2 per cell]
Ti: 0.9871 0.2490 0.5305 [2 per cell]
O: 0.0621 0.5000 0.4974 [1 per cell]
O: 0.0712 0.2982 0.5011 [2 per cell]
O: 0.0771 0.0994 0.5053 [2 per cell]
O: 0.2315 0.0427 0.2319 [2 per cell]
O: 0.2308 0.2416 0.2295 [2 per cell]
O: 0.2316 0.1561 0.2314 [2 per cell]
O: 0.2354 0.3532 0.2456 [2 per cell]
O: 0.2350 0.4452 0.2444 [2 per cell]
O: 0.2713 0.4448 0.7499 [2 per cell]
O: 0.2724 0.3541 0.7512 [2 per cell]
O: 0.3025 0.0417 0.7249 [2 per cell]
O: 0.3023 0.1572 0.7243 [2 per cell]
O: 0.3031 0.2409 0.7224 [2 per cell]
O: 0.4302 0.0994 0.0020 [2 per cell]
O: 0.4344 0.2980 0.0053 [2 per cell]
O: 0.4384 0.5000 0.0096 [1 per cell]
O: 0.5486 0.3991 0.0172 [2 per cell]
O: 0.5766 0.0000 0.0350 [1 per cell]
O: 0.5767 0.1988 0.0336 [2 per cell]
O: 0.7313 0.0567 0.3064 [2 per cell]
O: 0.7313 0.1421 0.3059 [2 per cell]
O: 0.7316 0.2554 0.3021 [2 per cell]
O: 0.7436 0.3422 0.2791 [2 per cell]
O: 0.7450 0.4558 0.2755 [2 per cell]
O: 0.7823 0.4569 0.7920 [2 per cell]
O: 0.7841 0.3414 0.7951 [2 per cell]
O: 0.8025 0.2566 0.8101 [2 per cell]
O: 0.8025 0.0577 0.8139 [2 per cell]
O: 0.8026 0.1411 0.8135 [2 per cell]
O: 0.9304 0.0000 0.5364 [1 per cell]
O: 0.9303 0.1988 0.5352 [2 per cell]
O: 0.9559 0.3991 0.5216 [2 per cell]

Properties
As for the magnetic moment: 0.00 μB per formula unit. As for the energy relative to the elements: -79.3 kcal/mol of atoms.